Here is a relaxed structure of Ba2HoCu3O6 from Materials Project. Energies are from PBE.

## Properties
The value obtained for the size of the total moment is 0.00 μB/atom. The total energy is -6.1013 eV per atom. As for the space-group type: No. 123. As for the formation energy: -2.2443 eV/atom.

Cell and atoms, written as CIF:
```
data_Ba2HoCu3O6
_chemical_formula_sum 'Ba2 Ho1 Cu3 O6'
_cell_length_a 3.8810
_cell_length_b 3.8810
_cell_length_c 12.1272
_cell_angle_alpha 90.00
_cell_angle_beta 90.00
_cell_angle_gamma 90.00
_symmetry_space_group_name_H-M 'P 1'
_symmetry_Int_Tables_number 1
loop_
_symmetry_equiv_pos_as_xyz
'x,y,z'
loop_
_atom_site_label
_atom_site_type_symbol
_atom_site_fract_x
_atom_site_fract_y
_atom_site_fract_z
_atom_site_occupancy
Ba1 Ba 0.0000 0.0000 0.1962 1
Ba2 Ba 0.0000 0.0000 0.8038 1
Ho1 Ho 0.0000 0.0000 0.5000 1
Cu1 Cu 0.5000 0.5000 0.0000 1
Cu2 Cu 0.5000 0.5000 0.3661 1
Cu3 Cu 0.5000 0.5000 0.6339 1
O1 O 0.0000 0.5000 0.3808 1
O2 O 0.0000 0.5000 0.6192 1
O3 O 0.5000 0.0000 0.3808 1
O4 O 0.5000 0.0000 0.6192 1
O5 O 0.5000 0.5000 0.1495 1
O6 O 0.5000 0.5000 0.8505 1
```